First-principles (GGA-PBE) data for a geometry-optimized TbAsS structure, as listed in the Materials Project database.

Summary:
- Total DFT energy (no corrections): -6.042 eV/atom

a b c (Å): 17.1170 3.8440 3.8670
angles (deg): 90.00 90.00 90.00
With the nearest neighbours (Å) after each atom.
Space group Pnma (No. 62)
Asymmetric unit:
Tb: 0.1456 0.2500 0.2285 x4  5 S 2.81-2.87, 1 As 3.11
As: 0.0017 0.2500 0.7183 x4  2 As 2.56
S: 0.1867 0.7500 0.7300 x4  5 Tb 2.81-2.87